Entry 1:
Compound: HfGa6Fe6
Source: the Materials Project database
Functional: GGA-PBE
Structure: relaxed

Computed properties:
**Total magnetization**: 21.5 Bohr magnetons per cell
**E**: -165.32 eV per cell
**Density**: 8.59 g cm⁻³
**Energy relative to the elements**: -286 meV/atom

```
data_HfGa6Fe6
_chemical_formula_sum 'Hf2 Ga12 Fe12'
_cell_length_a 4.988
_cell_length_b 8.403
_cell_length_c 8.596
_cell_angle_alpha 90.00
_cell_angle_beta 90.00
_cell_angle_gamma 90.00
_space_group_name_H-M_alt 'I m m m'
_space_group_IT_number 71
_space_group_name_Hall '-I 2 2'
loop_
_atom_site_label
_atom_site_type_symbol
_atom_site_fract_x
_atom_site_fract_y
_atom_site_fract_z
Hf1 Hf 0.000 0.000 0.000
Ga1 Ga 0.000 0.000 0.341
Ga2 Ga 0.000 0.331 0.000
Ga3 Ga 0.000 0.500 0.327
Fe1 Fe 0.000 0.256 0.500
Fe2 Fe 0.250 0.250 0.250
```

***

Entry 2:
Compound: Ho2Ga8Fe
Source: the Materials Project database
Functional: GGA-PBE
Structure: relaxed

Computed properties:
**Total magnetization**: 0.0 Bohr magnetons per cell
**E**: -46.76 eV per cell
**Density**: 7.85 g cm⁻³
**Energy relative to the elements**: -445 meV/atom

```
data_Ho2Ga8Fe
_chemical_formula_sum 'Ho2 Ga8 Fe1'
_cell_length_a 4.246
_cell_length_b 4.246
_cell_length_c 11.066
_cell_angle_alpha 90.00
_cell_angle_beta 90.00
_cell_angle_gamma 90.00
_space_group_name_H-M_alt 'P 4/m m m'
_space_group_IT_number 123
_space_group_name_Hall '-P 4 2'
loop_
_atom_site_label
_atom_site_type_symbol
_atom_site_fract_x
_atom_site_fract_y
_atom_site_fract_z
Ho1 Ho 0.000 0.000 0.195
Ga1 Ga 0.000 0.500 0.000
Ga2 Ga 0.000 0.500 0.385
Ga3 Ga 0.500 0.500 0.200
Fe1 Fe 0.000 0.000 0.500
```

***

Entry 3:
Compound: LaGa8Fe2
Source: the Materials Project database
Functional: GGA-PBE
Structure: relaxed

Computed properties:
**Total magnetization**: 3.0 Bohr magnetons per cell
**E**: -199.74 eV per cell
**Density**: 7.42 g cm⁻³
**Energy relative to the elements**: -348 meV/atom

```
data_LaGa8Fe2
_chemical_formula_sum 'La4 Ga32 Fe8'
_cell_length_a 12.595
_cell_length_b 14.272
_cell_length_c 4.023
_cell_angle_alpha 90.00
_cell_angle_beta 90.00
_cell_angle_gamma 90.00
_space_group_name_H-M_alt 'P b a m'
_space_group_IT_number 55
loop_
_space_group_symop_operation_xyz
'x,y,z'
'-x,-y,-z'
'-x,-y,z'
'x,y,-z'
'x+1/2,-y+1/2,-z'
'-x+1/2,y+1/2,z'
'-x+1/2,y+1/2,-z'
'x+1/2,-y+1/2,z'
loop_
_atom_site_label
_atom_site_type_symbol
_atom_site_fract_x
_atom_site_fract_y
_atom_site_fract_z
La1 La 0.158 0.181 0.000
Ga1 Ga 0.000 0.000 0.000
Ga2 Ga 0.000 0.500 0.500
Ga3 Ga 0.025 0.866 0.500
Ga4 Ga 0.049 0.318 0.500
Ga5 Ga 0.098 0.746 0.000
Ga6 Ga 0.163 0.454 0.000
Ga7 Ga 0.164 0.621 0.500
Ga8 Ga 0.168 0.010 0.500
Ga9 Ga 0.239 0.826 0.500
Fe1 Fe 0.034 0.591 0.000
Fe2 Fe 0.153 0.903 0.000
```

***

Entry 4:
Compound: Mg14GaFe
Source: the Materials Project database
Functional: GGA-PBE
Structure: relaxed

Computed properties:
**Total magnetization**: 0.2 Bohr magnetons per cell
**E**: -64.76 eV per cell
**Density**: 2.29 g cm⁻³
**Energy relative to the elements**: 95 meV/atom

```
data_Mg14GaFe
_chemical_formula_sum 'Mg28 Ga2 Fe2'
_cell_length_a 10.038
_cell_length_b 6.238
_cell_length_c 10.768
_cell_angle_alpha 90.00
_cell_angle_beta 90.00
_cell_angle_gamma 90.00
_space_group_name_H-M_alt 'A m m 2'
_space_group_IT_number 38
loop_
_space_group_symop_operation_xyz
'x,y,z'
'-x,-y,z'
'-x,y,z'
'x,-y,z'
'x,y+1/2,z+1/2'
'-x,-y+1/2,z+1/2'
'-x,y+1/2,z+1/2'
'x,-y+1/2,z+1/2'
loop_
_atom_site_label
_atom_site_type_symbol
_atom_site_fract_x
_atom_site_fract_y
_atom_site_fract_z
Mg1 Mg 0.000 0.000 0.000
Mg2 Mg 0.000 0.000 0.499
Mg3 Mg 0.000 0.249 0.251
Mg4 Mg 0.250 0.000 0.666
Mg5 Mg 0.260 0.000 0.162
Mg6 Mg 0.269 0.244 0.922
Mg7 Mg 0.500 0.249 0.747
Ga1 Ga 0.500 0.000 0.504
Fe1 Fe 0.500 0.000 0.001
```

***

Entry 5:
Compound: Mg14GaFe
Source: the Materials Project database
Functional: GGA-PBE
Structure: relaxed

Computed properties:
**Total magnetization**: 0.0 Bohr magnetons per cell
**E**: -32.55 eV per cell
**Density**: 2.31 g cm⁻³
**Energy relative to the elements**: 85 meV/atom

```
data_Mg14GaFe
_chemical_formula_sum 'Mg14 Ga1 Fe1'
_cell_length_a 6.2608
_cell_length_b 6.2608
_cell_length_c 9.8562
_cell_angle_alpha 90.00
_cell_angle_beta 90.00
_cell_angle_gamma 120.00
_space_group_name_H-M_alt 'P -6 m 2'
_space_group_IT_number 187
_space_group_name_Hall 'P -6 2'
loop_
_atom_site_label
_atom_site_type_symbol
_atom_site_fract_x
_atom_site_fract_y
_atom_site_fract_z
Mg1 Mg 0.0000 0.0000 0.2482
Mg2 Mg 0.0170 0.5085 0.2596
Mg3 Mg 0.3311 0.1656 0.5000
Mg4 Mg 0.3354 0.1677 0.0000
Ga1 Ga 0.3333 0.6667 0.0000
Fe1 Fe 0.3333 0.6667 0.5000
```

***

Entry 6:
Compound: GaFe2N3
Source: the Materials Project database
Functional: GGA-PBE
Structure: relaxed

Computed properties:
**Total magnetization**: 0.0 Bohr magnetons per cell
**E**: -178.80 eV per cell
**Density**: 5.94 g cm⁻³
**Energy relative to the elements**: -134 meV/atom

```
data_GaFe2N3
_chemical_formula_sum 'Ga4 Fe8 N12'
_cell_length_a 9.355
_cell_length_b 5.294
_cell_length_c 5.047
_cell_angle_alpha 90.00
_cell_angle_beta 90.00
_cell_angle_gamma 90.00
_space_group_name_H-M_alt 'C m c 21'
_space_group_IT_number 36
loop_
_space_group_symop_operation_xyz
'x,y,z'
'-x,-y,z+1/2'
'-x,y,z'
'x,-y,z+1/2'
'x+1/2,y+1/2,z'
'-x+1/2,-y+1/2,z+1/2'
'-x+1/2,y+1/2,z'
'x+1/2,-y+1/2,z+1/2'
loop_
_atom_site_label
_atom_site_type_symbol
_atom_site_fract_x
_atom_site_fract_y
_atom_site_fract_z
Ga1 Ga 0.000 0.166 0.000
Fe1 Fe 0.177 0.335 0.485
N1 N 0.000 0.185 0.385
N2 N 0.168 0.341 0.849
```

***

energy relative to the elements of number 4 (Mg14GaFe)? 95 meV/atom